Record 1
Material: La23Mg4Ni7
Method: DFT, PBE-GGA
State: relaxed Values from VASP.

Results
- ΔE_f (eV/atom) = -0.190
- VASP energy (eV/atom) = -4.91
- crystal system = hexagonal

Geometry as Quantum ESPRESSO input:
```
&SYSTEM
  ibrav = 0, nat = 68, ntyp = 3
/
ATOMIC_SPECIES
La 138.91 La.upf
Mg 24.30 Mg.upf
Ni 58.69 Ni.upf
CELL_PARAMETERS angstrom
10.115 0.000 0.000
-5.057 8.759 0.000
0.000 0.000 22.888
ATOMIC_POSITIONS angstrom
La 0.000 0.000 0.000
La 0.000 0.000 11.444
La -1.930 4.726 13.468
La -1.891 4.748 19.619
La 0.000 2.244 3.050
La -3.114 7.638 3.050
La 0.000 3.605 6.488
La 0.000 3.615 16.501
La -1.935 6.957 6.488
La -1.926 6.952 16.501
La 0.000 3.621 10.298
La -1.921 6.949 10.298
La 0.000 3.727 22.776
La -1.830 6.896 22.776
La 1.943 1.122 14.494
La 0.000 5.840 3.379
La 3.122 1.803 17.932
La 3.131 1.808 5.057
La 3.136 1.811 21.742
La 3.227 1.863 11.332
La 1.891 4.748 19.619
La 0.000 8.024 19.619
La 1.930 4.726 13.468
La 0.000 8.068 13.468
La 5.057 0.692 2.024
La 3.128 4.034 2.024
La 5.057 0.736 8.175
La 3.166 4.012 8.175
La 1.830 6.896 22.776
La 1.921 6.949 10.298
La 1.926 6.952 16.501
La 1.935 6.957 6.488
La 5.057 2.920 14.823
La 3.114 7.638 3.050
La 6.887 1.863 11.332
La 5.057 5.033 11.332
La 6.979 1.811 21.742
La 5.057 5.138 21.742
La 6.983 1.808 5.057
La 6.992 1.803 17.932
La 5.057 5.144 5.057
La 5.057 5.154 17.932
La 8.171 1.122 14.494
La 5.057 6.516 14.494
La 6.949 4.012 8.175
La 6.987 4.034 2.024
Mg 0.000 0.000 5.748
Mg 0.000 0.000 17.192
Mg 0.000 1.840 19.791
Mg -3.464 7.839 19.791
Mg 1.594 0.920 8.347
Mg 3.464 7.839 19.791
Mg 8.521 0.920 8.347
Mg 5.057 6.919 8.347
Ni -2.228 4.553 4.897
Ni 0.000 2.510 12.921
Ni -2.884 7.505 12.921
Ni 2.173 1.255 1.477
Ni 0.000 5.840 8.364
Ni 2.228 4.553 4.897
Ni 0.000 8.412 4.897
Ni 5.057 0.347 16.341
Ni 2.829 4.206 16.341
Ni 5.057 2.920 19.808
Ni 2.884 7.505 12.921
Ni 7.941 1.255 1.477
Ni 5.057 6.250 1.477
Ni 7.285 4.206 16.341
```

---

Record 2
Material: CrCdTe2
Method: DFT, PBE-GGA
State: relaxed Values from VASP.

Results
- energy with MP2020 corrections (eV per atom) = -4.560
- ΔE_f (eV/atom) = -0.344
- VASP energy (eV/atom) = -4.35
- crystal system = tetragonal

Geometry as Quantum ESPRESSO input:
```
&SYSTEM
  ibrav = 0, nat = 4, ntyp = 3
/
ATOMIC_SPECIES
Cr 52.00 Cr.upf
Cd 112.41 Cd.upf
Te 127.60 Te.upf
CELL_PARAMETERS angstrom
4.523 0.000 0.000
0.000 4.523 0.000
0.000 0.000 6.507
ATOMIC_POSITIONS angstrom
Cr 0.000 0.000 0.000
Cd 2.262 2.262 3.253
Te 0.000 2.262 5.013
Te 2.262 0.000 1.493
```

---

Record 3
Material: Li3ClO
Method: DFT, PBE-GGA
State: relaxed Values from VASP.

Results
- energy with MP2020 corrections (eV per atom) = -4.446
- ΔE_f (eV/atom) = -1.941
- VASP energy (eV/atom) = -4.31
- crystal system = cubic

Geometry as Quantum ESPRESSO input:
```
&SYSTEM
  ibrav = 0, nat = 5, ntyp = 3
/
ATOMIC_SPECIES
Li 6.94 Li.upf
Cl 35.45 Cl.upf
O 16.00 O.upf
CELL_PARAMETERS angstrom
3.908 0.000 0.000
0.000 3.908 0.000
0.000 0.000 3.908
ATOMIC_POSITIONS angstrom
Li 0.000 0.000 1.954
Li 0.000 1.954 0.000
Li 1.954 0.000 0.000
Cl 1.954 1.954 1.954
O 0.000 0.000 0.000
```

---

Record 4
Material: LiB6C
Method: DFT, PBE-GGA
State: relaxed Values from VASP.

Results
- ΔE_f (eV/atom) = -0.244
- VASP energy (eV/atom) = -6.65
- piezoelectric modulus e_max (C/m2) = 0.33
- crystal system = orthorhombic

Geometry as Quantum ESPRESSO input:
```
&SYSTEM
  ibrav = 0, nat = 16, ntyp = 3
/
ATOMIC_SPECIES
Li 6.94 Li.upf
B 10.81 B.upf
C 12.01 C.upf
CELL_PARAMETERS angstrom
4.705 0.000 0.000
0.000 4.507 2.826
0.000 -4.507 2.826
ATOMIC_POSITIONS angstrom
Li 0.000 -2.636 2.826
Li 0.000 2.636 2.826
B 0.912 -0.881 3.841
B 0.912 0.881 3.841
B 1.489 0.000 2.391
B 1.492 0.000 5.297
B 2.352 -2.980 1.936
B 2.352 -1.523 2.927
B 2.352 2.980 1.936
B 2.352 1.523 2.927
B 3.215 0.000 2.391
B 3.213 0.000 5.297
B 3.793 -0.881 3.841
B 3.793 0.881 3.841
C 0.689 0.000 1.026
C 4.015 0.000 1.026
```